Compound: Cs3CdBr5
Source: the Materials Project database
Functional: meta-GGA r2SCAN
Structure: relaxed

Cell: 10.508 10.508 10.508 Å, 125.28 125.28 81.07°
Element x y z (fractional)
Cs: 0.657 0.843 0.500
Cs: 0.343 0.157 0.500
Cs: 0.843 0.343 0.186
Cs: 0.750 0.750 0.000
Cs: 0.157 0.657 0.814
Cs: 0.250 0.250 0.000
Cd: 0.750 0.250 0.500
Cd: 0.250 0.750 0.500
Br: 0.500 0.000 0.802
Br: 0.500 0.500 0.000
Br: 0.199 0.699 0.198
Br: 0.000 0.199 0.500
Br: 0.801 0.301 0.802
Br: 0.500 0.000 0.198
Br: 0.699 0.500 0.500
Br: 0.301 0.500 0.500
Br: 0.000 0.000 0.000
Br: 0.000 0.801 0.500

Output
V   744.9 Å³ per cell
Raw total energy   -19.70 eV per atom
Energy relative to the elements   -1728 meV/atom

Compound: Cs2CdBr4
Source: the Materials Project database
Functional: meta-GGA r2SCAN
Structure: relaxed

Cell: 7.968 10.356 14.168 Å, 89.99 90.00 90.00°
Element x y z (fractional)
Br: 0.013 0.174 0.847
Br: 0.250 0.473 0.091
Br: 0.250 0.319 0.596
Br: 0.750 0.181 0.096
Br: 0.987 0.326 0.347
Br: 0.513 0.826 0.153
Br: 0.750 0.027 0.591
Br: 0.750 0.527 0.909
Br: 0.987 0.826 0.153
Br: 0.513 0.326 0.347
Br: 0.487 0.174 0.847
Br: 0.250 0.819 0.904
Br: 0.750 0.681 0.404
Br: 0.013 0.674 0.653
Br: 0.487 0.674 0.653
Br: 0.250 0.973 0.409
Cs: 0.250 0.118 0.079
Cs: 0.750 0.882 0.922
Cs: 0.250 0.982 0.673
Cs: 0.750 0.382 0.578
Cs: 0.250 0.618 0.422
Cs: 0.750 0.518 0.173
Cs: 0.750 0.018 0.327
Cs: 0.250 0.482 0.827
Cd: 0.750 0.778 0.575
Cd: 0.750 0.278 0.925
Cd: 0.250 0.222 0.425
Cd: 0.250 0.722 0.075

Output
V   1169.1 Å³ per cell
Raw total energy   -19.26 eV per atom
Energy relative to the elements   -1637 meV/atom

Compound: Rb2CdI2Br2
Source: the Materials Project database
Functional: meta-GGA r2SCAN
Structure: relaxed

Cell: 7.290 7.290 11.703 Å, 90.00 90.00 108.20°
Element x y z (fractional)
I: 0.055 0.467 0.446
I: 0.467 0.055 0.554
I: 0.055 0.467 0.054
I: 0.467 0.055 0.946
Rb: 0.252 0.894 0.250
Rb: 0.616 0.616 0.500
Rb: 0.616 0.616 0.000
Rb: 0.894 0.252 0.750
Br: 0.916 0.776 0.750
Br: 0.361 0.517 0.750
Br: 0.517 0.361 0.250
Br: 0.776 0.916 0.250
Cd: 0.853 0.293 0.250
Cd: 0.293 0.853 0.750

Output
V   590.8 Å³ per cell
Raw total energy   -19.12 eV per atom
Energy relative to the elements   -1467 meV/atom

Compound: RbCdBr3
Source: the Materials Project database
Functional: meta-GGA r2SCAN
Structure: relaxed

Cell: 4.247 9.551 15.793 Å, 90.00 90.00 90.00°
Element x y z (fractional)
Br: 0.250 0.282 0.209
Br: 0.750 0.474 0.399
Br: 0.250 0.669 0.005
Br: 0.750 0.218 0.709
Br: 0.750 0.718 0.791
Br: 0.250 0.169 0.495
Br: 0.250 0.782 0.291
Br: 0.750 0.831 0.505
Br: 0.250 0.026 0.899
Br: 0.250 0.526 0.601
Br: 0.750 0.331 0.995
Br: 0.750 0.974 0.101
Rb: 0.750 0.069 0.326
Rb: 0.250 0.931 0.674
Rb: 0.250 0.431 0.826
Rb: 0.750 0.569 0.174
Cd: 0.250 0.665 0.445
Cd: 0.750 0.835 0.945
Cd: 0.250 0.165 0.055
Cd: 0.750 0.335 0.555

Output
V   640.7 Å³ per cell
Raw total energy   -16.22 eV per atom
Energy relative to the elements   -1458 meV/atom

Compound: Cs2KCeBr6
Source: the Materials Project database
Functional: meta-GGA r2SCAN
Structure: relaxed

Cell: 8.482 8.482 8.482 Å, 60.00 60.00 60.00°
Element x y z (fractional)
Cs: 0.250 0.250 0.250
Cs: 0.750 0.750 0.750
K: 0.500 0.500 0.500
Br: 0.759 0.241 0.759
Br: 0.241 0.759 0.241
Br: 0.241 0.759 0.759
Br: 0.759 0.241 0.241
Br: 0.759 0.759 0.241
Br: 0.241 0.241 0.759
Ce: 0.000 0.000 0.000

Output
V   431.5 Å³ per cell
Raw total energy   -18.78 eV per atom
Energy relative to the elements   -2115 meV/atom

Compound: Ce4Ga5Br2
Source: the Materials Project database
Functional: meta-GGA r2SCAN
Structure: relaxed

Cell: 11.557 11.541 4.262 Å, 90.00 90.00 93.39°
Element x y z (fractional)
Ce: 0.271 0.271 0.000
Ce: 0.370 0.630 0.000
Ce: 0.326 0.960 0.500
Ce: 0.960 0.326 0.500
Ce: 0.674 0.039 0.500
Ce: 0.630 0.370 0.000
Ce: 0.040 0.674 0.500
Ce: 0.729 0.730 0.000
Br: 0.176 0.824 0.000
Br: 0.825 0.176 0.000
Br: 0.876 0.876 0.500
Br: 0.124 0.124 0.500
Ga: 0.100 0.462 0.000
Ga: 0.218 0.489 0.500
Ga: 0.421 0.421 0.500
Ga: 0.461 0.100 0.000
Ga: 0.900 0.538 0.000
Ga: 0.489 0.218 0.500
Ga: 0.512 0.783 0.500
Ga: 0.538 0.900 0.000
Ga: 0.782 0.511 0.500
Ga: 0.579 0.579 0.500

Output
V   567.5 Å³ per cell
Raw total energy   -19.95 eV per atom
Energy relative to the elements   -1122 meV/atom

Compound: Rb2CeBr5
Source: the Materials Project database
Functional: meta-GGA r2SCAN
Structure: relaxed

Cell: 8.644 9.454 13.763 Å, 90.00 90.00 90.00°
Element x y z (fractional)
Br: 0.657 0.750 0.797
Br: 0.580 0.750 0.509
Br: 0.169 0.545 0.429
Br: 0.920 0.750 0.009
Br: 0.331 0.545 0.929
Br: 0.831 0.455 0.571
Br: 0.343 0.250 0.203
Br: 0.831 0.045 0.571
Br: 0.080 0.250 0.991
Br: 0.669 0.045 0.071
Br: 0.169 0.955 0.429
Br: 0.331 0.955 0.929
Br: 0.117 0.750 0.682
Br: 0.617 0.250 0.818
Br: 0.843 0.750 0.297
Br: 0.669 0.455 0.071
Br: 0.420 0.250 0.491
Br: 0.383 0.750 0.182
Br: 0.883 0.250 0.318
Br: 0.157 0.250 0.703
Rb: 0.560 0.494 0.329
Rb: 0.060 0.994 0.171
Rb: 0.060 0.506 0.171
Rb: 0.560 0.006 0.329
Rb: 0.940 0.006 0.829
Rb: 0.440 0.506 0.671
Rb: 0.440 0.994 0.671
Rb: 0.940 0.494 0.829
Ce: 0.425 0.250 0.994
Ce: 0.075 0.250 0.494
Ce: 0.575 0.750 0.006
Ce: 0.925 0.750 0.506

Output
V   1124.7 Å³ per cell
Raw total energy   -17.78 eV per atom
Energy relative to the elements   -2156 meV/atom

Compound: EuBrCl
Source: the Materials Project database
Functional: meta-GGA r2SCAN
Structure: relaxed

Cell: 4.535 7.834 9.085 Å, 90.00 90.00 90.00°
Element x y z (fractional)
Eu: 0.750 0.268 0.625
Eu: 0.750 0.768 0.875
Eu: 0.250 0.232 0.125
Eu: 0.250 0.732 0.375
Br: 0.750 0.028 0.332
Br: 0.250 0.972 0.668
Br: 0.250 0.472 0.832
Br: 0.750 0.528 0.168
Cl: 0.250 0.356 0.434
Cl: 0.250 0.856 0.066
Cl: 0.750 0.144 0.934
Cl: 0.750 0.644 0.566

Output
V   322.8 Å³ per cell
Raw total energy   -21.84 eV per atom
Energy relative to the elements   -2534 meV/atom

Compound: K5Br4Cl
Source: the Materials Project database
Functional: meta-GGA r2SCAN
Structure: relaxed

Cell: 8.023 8.023 8.023 Å, 99.65 99.65 131.67°
Element x y z (fractional)
Br: 0.099 0.700 0.799
Br: 0.300 0.099 0.399
Br: 0.901 0.300 0.201
Br: 0.700 0.901 0.601
K: 0.000 0.000 0.000
K: 0.793 0.597 0.390
K: 0.207 0.403 0.610
K: 0.403 0.793 0.195
K: 0.597 0.207 0.805
Cl: 0.500 0.500 0.000

Output
V   352.0 Å³ per cell
Raw total energy   -10.95 eV per atom
Energy relative to the elements   -2020 meV/atom

Compound: K2BrCl
Source: the Materials Project database
Functional: meta-GGA r2SCAN
Structure: relaxed

Cell: 7.917 7.917 7.917 Å, 33.48 33.48 33.48°
Element x y z (fractional)
K: 0.746 0.746 0.746
K: 0.254 0.254 0.254
Cl: 0.000 0.000 0.000
Br: 0.500 0.500 0.500

Output
V   134.5 Å³ per cell
Raw total energy   -9.94 eV per atom
Energy relative to the elements   -2074 meV/atom

Compound: Na5Br4Cl
Source: the Materials Project database
Functional: meta-GGA r2SCAN
Structure: relaxed

Cell: 14.968 14.968 14.968 Å, 164.06 164.06 22.62°
Element x y z (fractional)
Br: 0.901 0.901 0.000
Br: 0.301 0.301 0.000
Br: 0.699 0.699 0.000
Br: 0.099 0.099 0.000
Cl: 0.500 0.500 0.000
Na: 0.200 0.200 0.000
Na: 0.403 0.403 0.000
Na: 0.800 0.800 0.000
Na: 0.000 0.000 0.000
Na: 0.597 0.597 0.000

Output
V   253.0 Å³ per cell
Raw total energy   -9.55 eV per atom
Energy relative to the elements   -1853 meV/atom

Compound: NdBr2Cl
Source: the Materials Project database
Functional: meta-GGA r2SCAN
Structure: relaxed

Cell: 4.342 7.695 7.861 Å, 61.22 90.00 90.00°
Element x y z (fractional)
Br: 0.500 0.092 0.619
Br: 0.000 0.697 0.916
Br: 0.500 0.281 0.085
Br: 0.500 0.623 0.294
Nd: 0.000 0.327 0.333
Nd: 0.500 0.665 0.663
Cl: 0.000 0.908 0.411
Cl: 0.000 0.408 0.680

Output
V   230.2 Å³ per cell
Raw total energy   -17.83 eV per atom
Energy relative to the elements   -2311 meV/atom

Compound: PrBrCl2
Source: the Materials Project database
Functional: meta-GGA r2SCAN
Structure: relaxed

Cell: 4.347 7.574 7.676 Å, 61.26 90.00 90.00°
Element x y z (fractional)
Br: 0.000 0.920 0.715
Br: 0.000 0.367 0.913
Cl: 0.500 0.322 0.589
Cl: 0.000 0.700 0.391
Cl: 0.500 0.082 0.315
Cl: 0.500 0.600 0.088
Pr: 0.500 0.669 0.661
Pr: 0.000 0.339 0.328

Output
V   221.6 Å³ per cell
Raw total energy   -16.20 eV per atom
Energy relative to the elements   -2455 meV/atom

Compound: Re3Br8Cl
Source: the Materials Project database
Functional: meta-GGA r2SCAN
Structure: relaxed

Cell: 9.961 9.961 9.878 Å, 65.33 65.33 65.45°
Element x y z (fractional)
Br: 0.878 0.403 0.379
Br: 0.121 0.121 0.098
Br: 0.285 0.285 0.462
Br: 0.967 0.285 0.782
Br: 0.034 0.715 0.219
Br: 0.492 0.172 0.990
Br: 0.512 0.830 0.005
Br: 0.490 0.490 0.673
Br: 0.714 0.714 0.538
Br: 0.715 0.034 0.219
Br: 0.830 0.512 0.005
Br: 0.172 0.492 0.990
Br: 0.285 0.967 0.782
Br: 0.403 0.878 0.379
Br: 0.881 0.881 0.901
Br: 0.510 0.510 0.326
Re: 0.354 0.127 0.854
Re: 0.127 0.354 0.854
Re: 0.874 0.647 0.145
Re: 0.354 0.354 0.626
Re: 0.645 0.645 0.374
Re: 0.647 0.874 0.145
Cl: 0.580 0.131 0.627
Cl: 0.131 0.580 0.627

Output
V   774.1 Å³ per cell
Raw total energy   -22.96 eV per atom
Energy relative to the elements   -506 meV/atom

Compound: Sr5Br8Cl2
Source: the Materials Project database
Functional: meta-GGA r2SCAN
Structure: relaxed

Cell: 11.527 11.527 7.057 Å, 90.00 90.00 90.00°
Element x y z (fractional)
Br: 0.790 0.410 0.106
Br: 0.908 0.285 0.627
Br: 0.410 0.210 0.894
Br: 0.285 0.092 0.373
Br: 0.785 0.592 0.627
Br: 0.092 0.715 0.627
Br: 0.210 0.590 0.106
Br: 0.408 0.785 0.373
Br: 0.590 0.790 0.894
Br: 0.592 0.215 0.373
Br: 0.910 0.710 0.106
Br: 0.710 0.090 0.894
Br: 0.090 0.290 0.106
Br: 0.215 0.408 0.627
Br: 0.715 0.908 0.373
Br: 0.290 0.910 0.894
Sr: 0.655 0.643 0.249
Sr: 0.643 0.345 0.751
Sr: 0.357 0.655 0.751
Sr: 0.857 0.155 0.249
Sr: 0.500 0.000 0.142
Sr: 0.155 0.143 0.751
Sr: 0.345 0.357 0.249
Sr: 0.845 0.857 0.751
Sr: 0.143 0.845 0.249
Sr: 0.000 0.500 0.858
Cl: 0.000 0.000 0.000
Cl: 0.500 0.500 0.000
Cl: 0.500 0.500 0.500
Cl: 0.000 0.000 0.500

Output
V   937.6 Å³ per cell
Raw total energy   -15.43 eV per atom
Energy relative to the elements   -2488 meV/atom

Compound: Cs3CoBr5
Source: the Materials Project database
Functional: meta-GGA r2SCAN
Structure: relaxed

Cell: 9.711 9.711 10.210 Å, 118.40 118.40 90.00°
Element x y z (fractional)
Br: 0.016 0.516 0.313
Br: 0.000 0.000 0.000
Br: 0.203 0.984 0.687
Br: 0.516 0.297 0.313
Br: 0.797 0.016 0.313
Br: 0.297 0.797 0.313
Br: 0.984 0.484 0.687
Br: 0.703 0.203 0.687
Br: 0.500 0.500 0.000
Br: 0.484 0.703 0.687
Cs: 0.838 0.662 0.000
Cs: 0.250 0.250 0.500
Cs: 0.338 0.838 0.000
Cs: 0.750 0.750 0.500
Cs: 0.662 0.162 0.000
Cs: 0.162 0.338 0.000
Co: 0.250 0.750 0.500
Co: 0.750 0.250 0.500

Output
V   712.5 Å³ per cell
Raw total energy   -18.83 eV per atom
Energy relative to the elements   -1626 meV/atom

Compound: K2CoBr4
Source: the Materials Project database
Functional: meta-GGA r2SCAN
Structure: relaxed

Cell: 7.496 9.381 13.278 Å, 90.00 90.00 90.00°
Element x y z (fractional)
K: 0.750 0.023 0.175
K: 0.250 0.616 0.067
K: 0.750 0.384 0.933
K: 0.250 0.116 0.433
K: 0.750 0.523 0.325
K: 0.250 0.477 0.675
K: 0.750 0.884 0.567
K: 0.250 0.977 0.825
Br: 0.750 0.534 0.581
Br: 0.005 0.676 0.849
Br: 0.995 0.824 0.349
Br: 0.250 0.309 0.904
Br: 0.750 0.191 0.404
Br: 0.505 0.324 0.151
Br: 0.750 0.691 0.096
Br: 0.005 0.176 0.651
Br: 0.250 0.809 0.596
Br: 0.995 0.324 0.151
Br: 0.495 0.176 0.651
Br: 0.495 0.676 0.849
Br: 0.750 0.034 0.919
Br: 0.250 0.966 0.081
Br: 0.250 0.466 0.419
Br: 0.505 0.824 0.349
Co: 0.750 0.781 0.927
Co: 0.750 0.281 0.573
Co: 0.250 0.719 0.427
Co: 0.250 0.219 0.073

Output
V   933.7 Å³ per cell
Raw total energy   -12.61 eV per atom
Energy relative to the elements   -1426 meV/atom

The records above give, respectively, magnetic moment values of 0.00; 0.00; 0.00; 0.00; 1.00; 4.23; 1.00; 7.00; 0.00; 0.00; 0.00; 0.00; 0.00; 0.00; 0.00; 3.00; 3.00 μB/f.u..